# PdPb3

An optimized crystal structure of PdPb3 (PBE, Materials Project).

ΔE_f: 2 kJ per mole of atoms

Cell and atoms, written as CIF:
```
data_PdPb3
_chemical_formula_sum 'Pd1 Pb3'
_symmetry_space_group_name_H-M 'P 1'
_symmetry_Int_Tables_number 1
_cell_length_a 5.696
_cell_length_b 5.696
_cell_length_c 5.696
_cell_angle_alpha 130.05
_cell_angle_beta 130.05
_cell_angle_gamma 73.32
loop_
_symmetry_equiv_pos_as_xyz
'x,y,z'
loop_
_atom_site_label
_atom_site_type_symbol
_atom_site_fract_x
_atom_site_fract_y
_atom_site_fract_z
Pd1 Pd 0.000 0.000 0.000
Pb1 Pb 0.250 0.750 0.500
Pb2 Pb 0.500 0.500 0.000
Pb3 Pb 0.750 0.250 0.500
```